1.
First-principles (PBE) data for crystalline Cs2KZrOF5 at its relaxed geometry, as listed in Materials Project.

extended XYZ file:
```
10
Lattice="-3.3393 3.3393 4.7641 3.3393 -3.3393 4.7641 3.3393 3.3393 -4.7641" Properties=species:S:1:pos:R:3 pbc="T T T"
Cs 3.3393 0.0000 0.0000
Cs 0.0000 3.3393 0.0000
K 0.0000 0.0000 2.4256
Zr 0.0000 0.0000 6.9935
O 0.0000 0.0000 5.0989
F 1.8610 1.8610 2.4382
F 1.4783 -1.4783 7.2023
F 0.0000 0.0000 9.2586
F -1.4783 1.4783 7.2023
F 1.4783 1.4783 7.2023
```

## Properties
Energy   -5.680 eV per atom
Piezoelectric modulus e_max   0.156 C/m²
Energy relative to the elements   -3.38 eV per atom

---

2.
First-principles (PBE) data for crystalline KHgF3 at its relaxed geometry, as listed in Materials Project.

extended XYZ file:
```
5
Lattice="4.6011 0.0000 0.0000 0.0000 4.6011 0.0000 0.0000 0.0000 4.6011" Properties=species:S:1:pos:R:3 pbc="T T T"
K 0.0000 0.0000 0.0000
Hg 2.3006 2.3006 2.3006
F 0.0000 2.3006 2.3006
F 2.3006 0.0000 2.3006
F 2.3006 2.3006 0.0000
```

## Properties
Energy   -3.358 eV per atom
Energy relative to the elements   -2.20 eV per atom

---

3.
First-principles (PBE) data for crystalline Ho2Mn12GaGe11 at its relaxed geometry, as listed in Materials Project.

extended XYZ file:
```
26
Lattice="5.1720 0.0000 0.0000 -2.5860 4.4791 0.0000 0.0000 0.0000 16.2308" Properties=species:S:1:pos:R:3 pbc="T T T"
Ho 0.0000 0.0000 0.0000
Ho 0.0000 0.0000 8.1036
Mn -1.2930 2.2395 2.0089
Mn -1.2930 2.2395 6.0796
Mn -1.2930 2.2395 10.1391
Mn -1.2930 2.2395 14.1849
Mn 2.5860 0.0000 2.0089
Mn 2.5860 0.0000 6.0796
Mn 2.5860 0.0000 10.1391
Mn 2.5860 0.0000 14.1849
Mn 1.2930 2.2395 2.0089
Mn 1.2930 2.2395 6.0796
Mn 1.2930 2.2395 10.1391
Mn 1.2930 2.2395 14.1849
Ga 0.0000 0.0000 2.7952
Ge 0.0000 0.0000 5.3236
Ge 0.0000 0.0000 10.8947
Ge 0.0000 0.0000 13.4333
Ge 0.0000 2.9860 16.2284
Ge 0.0000 2.9860 4.0284
Ge 0.0000 2.9860 8.1050
Ge 0.0000 2.9860 12.1619
Ge 2.5860 1.4930 16.2284
Ge 2.5860 1.4930 4.0284
Ge 2.5860 1.4930 8.1050
Ge 2.5860 1.4930 12.1619
```

## Properties
Energy   -6.965 eV per atom
Energy relative to the elements   -0.31 eV per atom

---

4.
First-principles (PBE) data for crystalline Ba6LiNb2IrCl2O12 at its relaxed geometry, as listed in Materials Project.

extended XYZ file:
```
24
Lattice="5.9568 0.0000 0.0000 -2.9784 5.1587 0.0000 0.0000 0.0000 15.5582" Properties=species:S:1:pos:R:3 pbc="T T T"
Ba 0.0000 0.0000 0.0000
Ba 0.0000 0.0000 3.9760
Ba 0.0000 0.0000 9.2912
Ba 2.9784 1.7196 2.3874
Ba 2.9784 1.7196 6.7041
Ba 2.9784 1.7196 11.3220
Li 0.0000 0.0000 6.6529
Nb 0.0000 3.4392 2.8375
Nb 0.0000 3.4392 8.5248
Ir 0.0000 3.4392 5.6840
Cl 0.0000 0.0000 12.3415
Cl 2.9784 1.7196 14.7058
O -1.4403 2.6076 9.4859
O -1.3631 2.6522 4.3176
O 0.0000 1.7452 1.9027
O -1.4671 4.2862 1.9027
O 0.0000 1.8084 7.0442
O -1.4123 4.2546 7.0442
O 1.3631 2.6522 4.3176
O 0.0000 5.0131 4.3176
O 1.4403 2.6076 9.4859
O 0.0000 5.1022 9.4859
O 1.4123 4.2546 7.0442
O 1.4671 4.2862 1.9027
```

## Properties
Energy   -6.830 eV per atom
Relative energy among the computed polymorphs   18 meV/atom
Energy relative to the elements   -2.78 eV per atom

---

5.
First-principles (PBE) data for crystalline LiIn at its relaxed geometry, as listed in Materials Project.

extended XYZ file:
```
4
Lattice="0.0000 3.4498 3.4498 3.4498 0.0000 3.4498 3.4498 3.4498 0.0000" Properties=species:S:1:pos:R:3 pbc="T T T"
Li 0.8625 0.8625 0.8625
Li 6.0372 6.0372 6.0372
In 2.5874 2.5874 2.5874
In 4.3123 4.3123 4.3123
```

## Properties
Energy   -2.585 eV per atom
Energy relative to the elements   -0.25 eV per atom

---

6.
First-principles (PBE) data for crystalline RbHoSe2 at its relaxed geometry, as listed in Materials Project.

extended XYZ file:
```
4
Lattice="2.1141 1.2206 7.9948 -2.1141 1.2206 7.9948 0.0000 -2.4412 7.9948" Properties=species:S:1:pos:R:3 pbc="T T T"
Rb 0.0000 0.0000 0.0000
Ho 0.0000 0.0000 11.9922
Se 0.0000 0.0000 5.5528
Se 0.0000 0.0000 18.4317
```

## Properties
Energy   -4.865 eV per atom
Energy relative to the elements   -1.96 eV per atom

---

7.
First-principles (PBE) data for crystalline Mg6GaNi at its relaxed geometry, as listed in Materials Project.

extended XYZ file:
```
16
Lattice="-2.5055 -3.9210 1.2008 2.0408 -2.8706 -5.1154 8.1759 -3.6058 5.2852" Properties=species:S:1:pos:R:3 pbc="T T T"
Mg -0.0491 -2.9856 -0.2357
Mg 0.9678 -4.4160 -2.7846
Mg 7.9466 -3.9803 3.5839
Mg 9.0022 -5.4651 0.9379
Mg 2.4406 -2.0617 -1.6396
Mg 6.4865 -3.8460 0.9758
Mg 5.0592 -6.2238 -0.1508
Mg 4.0353 -4.7836 2.4156
Mg 4.8791 -3.6127 -1.6164
Mg 3.8939 -2.2270 0.8530
Mg 5.5082 -2.4292 3.5607
Mg 1.3782 -0.6078 0.8909
Ga 6.5709 -6.3962 2.4405
Ga 1.4626 -3.1580 2.3556
Ni 2.4901 -4.5964 -0.1974
Ni 5.5576 -4.9640 5.0029
```

## Properties
Energy   -2.313 eV per atom
Relative energy among the computed polymorphs   3 meV/atom
Energy relative to the elements   -0.01 eV per atom

---

8.
First-principles (PBE) data for crystalline Mg9Si5 at its relaxed geometry, as listed in Materials Project.

extended XYZ file:
```
28
Lattice="7.2383 0.0000 0.0000 3.5886 6.2926 0.0000 0.1617 0.0420 12.1126" Properties=species:S:1:pos:R:3 pbc="T T T"
Mg 0.0000 0.0000 0.0000
Mg 3.6101 6.2355 4.2397
Mg 2.6597 2.6285 8.1340
Mg 2.7046 1.8427 4.2307
Mg 2.6982 1.7377 0.0461
Mg 2.1150 0.2201 9.6914
Mg 4.2694 3.8331 2.0928
Mg 4.5068 3.8392 10.2993
Mg 4.5771 3.8302 6.1966
Mg 6.5550 4.8526 0.0067
Mg 6.6109 4.8558 4.2420
Mg 4.6289 0.6256 6.2101
Mg 7.1749 4.5767 8.0846
Mg 4.7388 0.2847 2.1161
Mg 7.4792 2.4575 10.2476
Mg 7.3944 2.2316 6.2160
Mg 7.5314 2.4567 2.0954
Mg 10.3936 5.9985 8.0988
Si 1.9485 0.1237 6.5385
Si 1.8918 0.0988 2.1482
Si 5.4792 2.1873 8.2584
Si 4.7989 0.8337 10.2228
Si 5.5382 2.2220 4.1466
Si 5.4576 2.1305 0.1413
Si 9.1146 4.6894 10.1636
Si 9.1472 4.3415 6.0413
Si 9.1303 4.2991 3.5277
Si 9.1302 4.2709 0.4726
```

## Properties
Energy   -3.006 eV per atom
Relative energy among the computed polymorphs   69 meV/atom
Energy relative to the elements   -0.01 eV per atom

---

9.
First-principles (PBE) data for crystalline Pr2Sb4Ir3 at its relaxed geometry, as listed in Materials Project.

extended XYZ file:
```
36
Lattice="16.3432 0.0000 0.0000 0.0000 4.6005 0.0000 0.0000 0.0000 11.0917" Properties=species:S:1:pos:R:3 pbc="T T T"
Pr 0.1096 1.1501 2.7564
Pr 4.0640 3.4504 6.5388
Pr 4.1077 1.1501 0.9930
Pr 8.0620 3.4504 8.3022
Pr 8.2812 1.1501 2.7894
Pr 12.2356 3.4504 10.0987
Pr 12.2793 1.1501 4.5529
Pr 16.2336 3.4504 8.3352
Sb 1.1193 3.4504 4.9651
Sb 1.7234 3.4504 0.6969
Sb 2.4461 1.1501 8.6024
Sb 3.4354 1.1501 4.2896
Sb 4.7362 3.4504 9.8354
Sb 5.7255 3.4504 3.0566
Sb 6.4482 1.1501 6.2428
Sb 7.0524 1.1501 10.5109
Sb 9.2909 3.4504 0.5807
Sb 9.8950 3.4504 4.8489
Sb 10.6177 1.1501 8.0351
Sb 11.6070 1.1501 1.2563
Sb 12.9078 3.4504 6.8021
Sb 13.8971 3.4504 2.4893
Sb 14.6199 1.1501 10.3947
Sb 15.2240 1.1501 6.1266
Ir 0.9196 1.1501 10.7181
Ir 1.5061 1.1501 6.1720
Ir 2.9804 3.4504 3.0771
Ir 5.1912 1.1501 8.6229
Ir 6.6655 3.4504 0.6261
Ir 7.2520 3.4504 5.1723
Ir 9.0913 1.1501 5.9194
Ir 9.6777 1.1501 10.4655
Ir 11.1520 3.4504 2.4687
Ir 13.3628 1.1501 8.0146
Ir 14.8371 3.4504 4.9197
Ir 15.4236 3.4504 0.3736
```

## Properties
Energy   -6.551 eV per atom
Energy relative to the elements   -0.71 eV per atom

---

10.
First-principles (PBE) data for crystalline EuGe2Ir at its relaxed geometry, as listed in Materials Project.

extended XYZ file:
```
8
Lattice="2.2415 -8.7602 0.0000 2.2415 8.7602 0.0000 0.0000 0.0000 4.3063" Properties=species:S:1:pos:R:3 pbc="T T T"
Eu 2.2415 6.8920 3.2297
Eu 2.2415 -6.8920 1.0766
Ge 2.2415 4.4194 1.0766
Ge 2.2415 0.7212 3.2297
Ge 2.2415 -0.7212 1.0766
Ge 2.2415 -4.4194 3.2297
Ir 2.2415 3.1527 3.2297
Ir 2.2415 -3.1527 1.0766
```

## Properties
Energy   -7.741 eV per atom
Energy relative to the elements   -0.66 eV per atom

---

11.
First-principles (PBE) data for crystalline NpTe3 at its relaxed geometry, as listed in Materials Project.

extended XYZ file:
```
8
Lattice="2.1715 -12.6213 0.0000 2.1715 12.6213 0.0000 0.0000 0.0000 4.3376" Properties=species:S:1:pos:R:3 pbc="T T T"
Np 2.1715 8.3856 3.2532
Np 2.1715 -8.3856 1.0844
Te 2.1715 10.7243 1.0844
Te 2.1715 5.1470 3.2532
Te 2.1715 1.9047 1.0844
Te 2.1715 -1.9047 3.2532
Te 2.1715 -5.1470 1.0844
Te 2.1715 -10.7243 3.2532
```

## Properties
Energy   -6.141 eV per atom
Energy relative to the elements   -0.86 eV per atom

---

12.
First-principles (PBE) data for crystalline TlTe at its relaxed geometry, as listed in Materials Project.

extended XYZ file:
```
16
Lattice="-6.5725 6.5725 3.1588 6.5725 -6.5725 3.1588 6.5725 6.5725 -3.1588" Properties=species:S:1:pos:R:3 pbc="T T T"
Tl 10.1468 1.0432 0.0000
Tl 1.0432 2.9983 0.0000
Tl 7.6157 3.5742 0.0000
Tl 3.5742 5.5293 0.0000
Tl 2.9983 1.0432 3.1588
Tl -1.0432 2.9983 3.1588
Tl 5.5293 3.5742 3.1588
Tl -3.5742 5.5293 3.1588
Te 6.5725 0.0000 0.0000
Te 4.4341 2.1384 0.0000
Te 0.0000 0.0000 1.5794
Te 4.4341 -2.1384 3.1588
Te 0.0000 6.5725 0.0000
Te 2.1384 8.7109 0.0000
Te 0.0000 0.0000 4.7382
Te 2.1384 4.4341 3.1588
```

## Properties
Energy   -2.978 eV per atom
Energy relative to the elements   -0.44 eV per atom

---

13.
First-principles (PBE) data for crystalline CeAl5Pt3 at its relaxed geometry, as listed in Materials Project.

extended XYZ file:
```
36
Lattice="20.7650 0.0000 0.0000 0.0000 4.1563 0.0000 0.0000 0.0000 7.3298" Properties=species:S:1:pos:R:3 pbc="T T T"
Ce 2.9176 1.0391 0.8656
Ce 7.4649 3.1172 4.5305
Ce 13.3001 1.0391 2.7993
Ce 17.8474 3.1172 6.4642
Al 0.1558 3.1172 0.9629
Al 0.3588 1.0391 2.8316
Al 2.4336 1.0391 4.7203
Al 4.1663 3.1172 5.9530
Al 4.3214 3.1172 3.1168
Al 6.0611 1.0391 6.7817
Al 6.2162 1.0391 2.2881
Al 7.9489 3.1172 1.0554
Al 10.0237 3.1172 6.4965
Al 10.2268 1.0391 4.6278
Al 10.5383 3.1172 2.7020
Al 10.7413 1.0391 0.8333
Al 12.8161 1.0391 6.2744
Al 14.5488 3.1172 5.0417
Al 14.7039 3.1172 0.5480
Al 16.4436 1.0391 4.2129
Al 16.5987 1.0391 1.3768
Al 18.3314 3.1172 2.6095
Al 20.4062 3.1172 4.4982
Al 20.6093 1.0391 6.3669
Pt 1.5186 3.1172 6.1507
Pt 1.7562 3.1172 3.0773
Pt 4.9477 1.0391 4.5230
Pt 5.4348 3.1172 0.8581
Pt 8.6263 1.0391 6.7422
Pt 8.8639 1.0391 2.4858
Pt 11.9011 3.1172 4.8440
Pt 12.1387 3.1172 0.5876
Pt 15.3302 1.0391 6.4716
Pt 15.8174 3.1172 2.8067
Pt 19.0088 1.0391 4.2525
Pt 19.2464 1.0391 1.1791
```

## Properties
Energy   -5.776 eV per atom
Energy relative to the elements   -1.01 eV per atom

---

14.
First-principles (PBE) data for crystalline CrN2 at its relaxed geometry, as listed in Materials Project.

extended XYZ file:
```
12
Lattice="3.5929 -4.4351 0.0000 3.5929 4.4351 0.0000 -1.0399 0.0000 5.7570" Properties=species:S:1:pos:R:3 pbc="T T T"
Cr 3.0730 4.0780 2.8785
Cr 2.6580 0.7575 3.3499
Cr 3.1780 -0.7575 0.4714
Cr 3.5929 -4.0780 0.0000
N 0.9702 0.5539 3.0588
N 3.2273 2.3803 3.0731
N 1.4902 -0.5539 0.1803
N 2.7679 0.3098 5.0179
N 3.2878 -0.3098 2.1395
N 3.7472 -2.3803 0.1946
N 5.5537 0.1557 4.1233
N 6.0737 -0.1557 1.2448
```

## Properties
Energy   -8.550 eV per atom
Energy relative to the elements   -0.02 eV per atom

---

15.
First-principles (PBE) data for crystalline MgCu5 at its relaxed geometry, as listed in Materials Project.

extended XYZ file:
```
6
Lattice="2.2741 1.3130 4.2764 -2.2741 1.3130 4.2764 0.0000 -2.6259 4.2764" Properties=species:S:1:pos:R:3 pbc="T T T"
Mg 0.0000 0.0000 0.0000
Cu -0.7353 -1.2737 6.4146
Cu 0.0000 0.0000 4.2515
Cu -0.7353 1.2737 6.4146
Cu 0.0000 0.0000 8.5776
Cu 1.4707 0.0000 6.4146
```

## Properties
Energy   -3.705 eV per atom
Energy relative to the elements   -0.02 eV per atom

---

16.
First-principles (PBE) data for crystalline Eu2YNbO6 at its relaxed geometry, as listed in Materials Project.

extended XYZ file:
```
10
Lattice="0.0000 4.2157 4.2157 4.2157 0.0000 4.2157 4.2157 4.2157 0.0000" Properties=species:S:1:pos:R:3 pbc="T T T"
Eu 2.1078 2.1078 2.1078
Eu 6.3235 6.3235 6.3235
Y 0.0000 0.0000 0.0000
Nb 4.2157 4.2157 4.2157
O 4.2157 4.2157 2.2081
O 4.2157 2.2081 4.2157
O 6.2233 4.2157 4.2157
O 2.2081 4.2157 4.2157
O 4.2157 6.2233 4.2157
O 4.2157 4.2157 6.2233
```

## Properties
Energy   -9.608 eV per atom
Energy relative to the elements   -3.34 eV per atom

---

17.
First-principles (PBE) data for crystalline KTbF5 at its relaxed geometry, as listed in Materials Project.

extended XYZ file:
```
42
Lattice="7.4163 0.0000 0.0000 2.8597 8.0910 0.0000 2.7661 1.2732 10.7549" Properties=species:S:1:pos:R:3 pbc="T T T"
K 3.7713 4.3680 2.8340
K 3.6501 1.9464 6.0839
K 6.8830 7.8318 9.9640
K 6.1592 1.5323 0.7909
K 9.3921 7.4177 4.6710
K 9.2709 4.9961 7.9209
Tb 2.2967 0.6068 2.6036
Tb 5.2700 3.8951 10.1204
Tb 5.4576 6.1330 6.2963
Tb 7.5846 3.2311 4.4586
Tb 7.7722 5.4690 0.6345
Tb 10.7455 8.7574 8.1513
F 2.2682 2.4748 3.9064
F 2.4684 4.6176 0.4439
F 3.7382 6.8455 2.0644
F 1.4016 0.9881 0.5320
F 5.4413 8.0890 7.5854
F 3.9240 2.7104 8.5353
F 3.9972 4.5966 5.5286
F 5.0496 7.5968 4.5987
F 5.2201 5.3143 8.3711
F 3.5269 2.0729 1.3569
F 4.4669 0.7338 3.7143
F 6.3205 5.1899 4.2870
F 6.4119 7.0844 1.5588
F 5.3679 2.5607 4.0903
F 7.5201 4.7834 9.9896
F 5.5220 4.5808 0.7653
F 7.6743 6.8034 6.6646
F 6.6303 2.2797 9.1961
F 6.7217 4.1743 6.4679
F 8.5753 8.6304 7.0406
F 9.5152 7.2913 9.3980
F 7.8221 4.0498 2.3838
F 7.9925 1.7673 6.1562
F 9.0449 4.7676 5.2263
F 9.1182 6.6538 2.2196
F 7.6008 1.2752 3.1695
F 11.6406 8.3760 10.2229
F 9.3040 2.5186 8.6905
F 10.5738 4.7466 10.3110
F 10.7740 6.8893 6.8485
```

## Properties
Energy   -5.329 eV per atom
Energy relative to the elements   -3.47 eV per atom